This record from Materials Project describes an optimized crystal structure of LiMg6Zr. The functional is PBE.

Unit cell a=5.0758 b=6.3569 c=11.1008 alpha=90.00 beta=90.00 gamma=90.00
Sites, in units of the cell vectors:
1 Zr 0.0000 0.5000 0.3343
2 Mg 0.0000 0.5000 0.8355
3 Li 0.5000 0.5000 0.1673
4 Mg 0.5000 0.7460 0.4156
5 Mg 0.5000 0.2540 0.4156
6 Mg 0.0000 0.2454 0.5825
7 Mg 0.5000 0.2460 0.9156
8 Li 0.5000 0.0000 0.6673
9 Mg 0.0000 0.7454 0.0825
10 Mg 0.5000 0.7540 0.9156
11 Mg 0.0000 0.0000 0.3355
12 Zr 0.0000 0.0000 0.8343
13 Mg 0.0000 0.7546 0.5825
14 Mg 0.5000 0.0000 0.1668
15 Mg 0.0000 0.2546 0.0825
16 Mg 0.5000 0.5000 0.6668

Computed properties:
- Energy: -2.430 eV/atom
- Energy relative to the lowest polymorph listed for this composition: 0.000 eV/atom
- Formation energy: 0.078 eV/atom

This record from Materials Project describes an optimized crystal structure of Ca5Ga2As6. The functional is PBE.

Unit cell a=11.4440 b=13.2866 c=4.1746 alpha=90.00 beta=90.00 gamma=90.00
Sites, in units of the cell vectors:
1 Ca 0.0000 0.0000 0.0000
2 Ca 0.0891 0.2516 0.0000
3 Ca 0.1751 0.5140 0.0000
4 Ca 0.3249 0.0140 0.0000
5 Ca 0.4109 0.7516 0.0000
6 Ca 0.5000 0.5000 0.0000
7 Ca 0.5891 0.2484 0.0000
8 Ca 0.6751 0.9860 0.0000
9 Ca 0.8249 0.4860 0.0000
10 Ca 0.9109 0.7484 0.0000
11 Ga 0.1721 0.7125 0.5000
12 Ga 0.3279 0.2125 0.5000
13 Ga 0.6721 0.7875 0.5000
14 Ga 0.8279 0.2875 0.5000
15 As 0.0195 0.4064 0.5000
16 As 0.1553 0.0972 0.5000
17 As 0.1606 0.8196 0.0000
18 As 0.3394 0.3196 0.0000
19 As 0.3447 0.5972 0.5000
20 As 0.4805 0.9064 0.5000
21 As 0.5195 0.0936 0.5000
22 As 0.6553 0.4028 0.5000
23 As 0.6606 0.6804 0.0000
24 As 0.8394 0.1804 0.0000
25 As 0.8447 0.9028 0.5000
26 As 0.9805 0.5936 0.5000

Computed properties:
- Energy: -4.335 eV/atom
- Formation energy: -0.947 eV/atom

This record from Materials Project describes an optimized crystal structure of ZnSO5. The functional is PBE.

Unit cell a=7.9794 b=8.0229 c=9.3181 alpha=87.13 beta=86.81 gamma=85.34
Sites, in units of the cell vectors:
1 Zn 0.0000 0.0000 0.0000
2 Zn 0.0065 0.5012 0.7563
3 Zn 0.5000 0.5000 0.5000
4 Zn 0.9935 0.4988 0.2437
5 S 0.1256 0.2806 0.4896
6 S 0.2293 0.6038 0.9803
7 S 0.7707 0.3962 0.0197
8 S 0.8744 0.7194 0.5104
9 O 0.0023 0.7069 0.6253
10 O 0.0429 0.2943 0.6376
11 O 0.1009 0.7471 0.9515
12 O 0.1068 0.9954 0.1853
13 O 0.2063 0.4705 0.8738
14 O 0.2082 0.5307 0.1324
15 O 0.2233 0.0862 0.9882
16 O 0.2506 0.4054 0.4546
17 O 0.3894 0.7179 0.5396
18 O 0.4785 0.6482 0.3313
19 O 0.5215 0.3518 0.6687
20 O 0.6106 0.2821 0.4604
21 O 0.7494 0.5946 0.5454
22 O 0.7767 0.9138 0.0118
23 O 0.7918 0.4693 0.8676
24 O 0.7937 0.5295 0.1262
25 O 0.8932 0.0046 0.8147
26 O 0.8991 0.2529 0.0485
27 O 0.9571 0.7057 0.3624
28 O 0.9977 0.2931 0.3747

Computed properties:
- Energy: -4.586 eV/atom
- Energy relative to the lowest polymorph listed for this composition: 0.567 eV/atom
- Formation energy: -0.771 eV/atom

This record from Materials Project describes an optimized crystal structure of Y3Cu4Ge4. The functional is PBE.

Unit cell a=8.0240 b=8.0240 c=8.0240 alpha=149.48 beta=130.91 gamma=58.91
Sites, in units of the cell vectors:
1 Y 0.0000 0.0000 0.0000
2 Y 0.3705 0.8705 0.5000
3 Y 0.6295 0.1295 0.5000
4 Cu 0.0206 0.3306 0.6900
5 Cu 0.3593 0.6694 0.6900
6 Cu 0.6407 0.3306 0.3100
7 Cu 0.9794 0.6694 0.3100
8 Ge 0.2165 0.2165 0.0000
9 Ge 0.3086 0.5000 0.8086
10 Ge 0.6914 0.5000 0.1914
11 Ge 0.7835 0.7835 0.0000

Computed properties:
- Energy: -5.572 eV/atom
- Formation energy: -0.636 eV/atom

This record from Materials Project describes an optimized crystal structure of Sc2Co. The functional is PBE.

Unit cell a=5.2726 b=5.2726 c=5.2726 alpha=106.63 beta=106.63 gamma=115.33
Sites, in units of the cell vectors:
1 Sc 0.1778 0.6778 0.8557
2 Sc 0.3222 0.1778 0.5000
3 Sc 0.6778 0.8222 0.5000
4 Sc 0.8222 0.3222 0.1443
5 Co 0.2500 0.2500 0.0000
6 Co 0.7500 0.7500 0.0000

Computed properties:
- Energy: -6.852 eV/atom
- Formation energy: -0.261 eV/atom

This record from Materials Project describes an optimized crystal structure of La3Mg2WS8. The functional is PBE.

Unit cell a=7.9015 b=7.9015 c=7.9015 alpha=61.88 beta=61.88 gamma=61.88
Sites, in units of the cell vectors:
1 La 0.0000 0.5000 0.5000
2 La 0.5000 0.0000 0.5000
3 La 0.5000 0.5000 0.0000
4 Mg 0.1259 0.1259 0.1259
5 Mg 0.8741 0.8741 0.8741
6 W 0.5000 0.5000 0.5000
7 S 0.2520 0.2520 0.2520
8 S 0.2637 0.7281 0.7281
9 S 0.2719 0.2719 0.7363
10 S 0.2719 0.7363 0.2719
11 S 0.7281 0.2637 0.7281
12 S 0.7281 0.7281 0.2637
13 S 0.7363 0.2719 0.2719
14 S 0.7480 0.7480 0.7480

Computed properties:
- Energy: -6.018 eV/atom
- Formation energy: -1.730 eV/atom

This record from Materials Project describes an optimized crystal structure of K3ScBr6. The functional is PBE.

Unit cell a=8.1618 b=8.1618 c=8.1618 alpha=60.00 beta=60.00 gamma=60.00
Sites, in units of the cell vectors:
1 K 0.0000 0.0000 0.0000
2 K 0.2500 0.2500 0.2500
3 K 0.7500 0.7500 0.7500
4 Sc 0.5000 0.5000 0.5000
5 Br 0.2701 0.2701 0.7299
6 Br 0.2701 0.7299 0.2701
7 Br 0.2701 0.7299 0.7299
8 Br 0.7299 0.2701 0.2701
9 Br 0.7299 0.2701 0.7299
10 Br 0.7299 0.7299 0.2701

Computed properties:
- Energy: -3.656 eV/atom
- Formation energy: -2.028 eV/atom

This record from Materials Project describes an optimized crystal structure of La2CuSe4O12. The functional is PBE.

Unit cell a=10.8970 b=7.2132 c=8.4606 alpha=90.00 beta=110.36 gamma=90.00
Sites, in units of the cell vectors:
1 La 0.0862 0.1662 0.2399
2 La 0.0862 0.3338 0.7399
3 La 0.9138 0.6662 0.2601
4 La 0.9138 0.8338 0.7601
5 Cu 0.5000 0.0000 0.5000
6 Cu 0.5000 0.5000 0.0000
7 Se 0.1838 0.6787 0.1323
8 Se 0.1838 0.8213 0.6323
9 Se 0.3722 0.1752 0.1303
10 Se 0.3722 0.3248 0.6303
11 Se 0.6278 0.6752 0.3697
12 Se 0.6278 0.8248 0.8697
13 Se 0.8162 0.1787 0.3677
14 Se 0.8162 0.3213 0.8677
15 O 0.0572 0.6568 0.5905
16 O 0.0572 0.8432 0.0905
17 O 0.1123 0.5106 0.2190
18 O 0.1123 0.9894 0.7190
19 O 0.1540 0.6144 0.9280
20 O 0.1540 0.8856 0.4280
21 O 0.2072 0.2188 0.0337
22 O 0.2072 0.2812 0.5337
23 O 0.3566 0.1292 0.3269
24 O 0.3566 0.3708 0.8269
25 O 0.4443 0.1076 0.6742
26 O 0.4443 0.3924 0.1742
27 O 0.5557 0.6076 0.8258
28 O 0.5557 0.8924 0.3258
29 O 0.6434 0.6292 0.1731
30 O 0.6434 0.8708 0.6731
31 O 0.7928 0.7188 0.4663
32 O 0.7928 0.7812 0.9663
33 O 0.8460 0.1144 0.5720
34 O 0.8460 0.3856 0.0720
35 O 0.8877 0.0106 0.2810
36 O 0.8877 0.4894 0.7810
37 O 0.9428 0.1568 0.9095
38 O 0.9428 0.3432 0.4095

Computed properties:
- Energy: -6.207 eV/atom
- Formation energy: -2.045 eV/atom

This record from Materials Project describes an optimized crystal structure of BeGaRh2. The functional is PBE.

Unit cell a=4.1394 b=4.1394 c=4.1394 alpha=60.00 beta=60.00 gamma=60.00
Sites, in units of the cell vectors:
1 Be 0.0000 0.0000 0.0000
2 Ga 0.5000 0.5000 0.5000
3 Rh 0.2500 0.2500 0.2500
4 Rh 0.7500 0.7500 0.7500

Computed properties:
- Energy: -6.045 eV/atom
- Formation energy: -0.671 eV/atom

This record from Materials Project describes an optimized crystal structure of Cs3Mo2Cl9. The functional is PBE.

Unit cell a=7.5671 b=7.5671 c=18.2584 alpha=90.00 beta=90.00 gamma=120.00
Sites, in units of the cell vectors:
1 Cs 0.0000 0.0000 0.2500
2 Cs 0.0000 0.0000 0.7500
3 Cs 0.3333 0.6667 0.0708
4 Cs 0.3333 0.6667 0.4292
5 Cs 0.6667 0.3333 0.5708
6 Cs 0.6667 0.3333 0.9292
7 Mo 0.3333 0.6667 0.6735
8 Mo 0.3333 0.6667 0.8265
9 Mo 0.6667 0.3333 0.1735
10 Mo 0.6667 0.3333 0.3265
11 Cl 0.0179 0.5089 0.7500
12 Cl 0.1821 0.3642 0.5974
13 Cl 0.1821 0.3642 0.9026
14 Cl 0.1821 0.8179 0.5974
15 Cl 0.1821 0.8179 0.9026
16 Cl 0.3642 0.1821 0.0974
17 Cl 0.3642 0.1821 0.4026
18 Cl 0.4911 0.5089 0.7500
19 Cl 0.4911 0.9821 0.7500
20 Cl 0.5089 0.0179 0.2500
21 Cl 0.5089 0.4911 0.2500
22 Cl 0.6358 0.8179 0.5974
23 Cl 0.6358 0.8179 0.9026
24 Cl 0.8179 0.1821 0.0974
25 Cl 0.8179 0.1821 0.4026
26 Cl 0.8179 0.6358 0.0974
27 Cl 0.8179 0.6358 0.4026
28 Cl 0.9821 0.4911 0.2500

Computed properties:
- Energy: -4.344 eV/atom
- Formation energy: -1.809 eV/atom

This record from Materials Project describes an optimized crystal structure of Ho12Si5S28. The functional is PBE.

Unit cell a=9.7677 b=11.3067 c=11.3111 alpha=60.73 beta=64.42 gamma=64.41
Sites, in units of the cell vectors:
1 Ho 0.0000 0.0000 0.0000
2 Ho 0.0015 0.4883 0.5276
3 Ho 0.2638 0.4717 0.9770
4 Ho 0.2734 0.9630 0.4958
5 Ho 0.3517 0.1907 0.6946
6 Ho 0.3611 0.6645 0.1985
7 Ho 0.4831 0.5306 0.5697
8 Ho 0.4986 0.0467 0.0473
9 Ho 0.7663 0.9186 0.4521
10 Ho 0.7877 0.4281 0.9327
11 Ho 0.9045 0.2993 0.2983
12 Ho 0.9174 0.7700 0.8095
13 Si 0.1335 0.0027 0.2290
14 Si 0.4670 0.2302 0.3355
15 Si 0.4676 0.7284 0.8357
16 Si 0.7996 0.1483 0.7481
17 Si 0.8014 0.6497 0.2507
18 S 0.0284 0.9972 0.7480
19 S 0.0328 0.5053 0.2574
20 S 0.0374 0.2896 0.7810
21 S 0.0438 0.8236 0.2680
22 S 0.2220 0.1896 0.1911
23 S 0.2337 0.7039 0.6854
24 S 0.2370 0.2264 0.4808
25 S 0.2367 0.7261 0.9830
26 S 0.2828 0.9960 0.9980
27 S 0.2925 0.4964 0.4774
28 S 0.3629 0.8486 0.2924
29 S 0.3928 0.3206 0.8128
30 S 0.4619 0.9193 0.6570
31 S 0.4727 0.4084 0.1454
32 S 0.5532 0.0393 0.2951
33 S 0.5554 0.5392 0.7952
34 S 0.6093 0.6985 0.9547
35 S 0.6126 0.1974 0.4528
36 S 0.6495 0.5363 0.2867
37 S 0.6629 0.0247 0.7776
38 S 0.7117 0.6889 0.4412
39 S 0.7170 0.1888 0.9386
40 S 0.8002 0.8336 0.0659
41 S 0.8013 0.3324 0.5644
42 S 0.8767 0.6751 0.6557
43 S 0.8969 0.1586 0.1609
44 S 0.9731 0.4988 0.9923
45 S 0.9945 0.0087 0.4519

Computed properties:
- Energy: -5.976 eV/atom
- Formation energy: -1.890 eV/atom

This record from Materials Project describes an optimized crystal structure of HgO2F2. The functional is PBE.

Unit cell a=9.0250 b=5.4348 c=5.2802 alpha=90.00 beta=90.00 gamma=90.00
Sites, in units of the cell vectors:
1 Hg 0.0000 0.2376 0.2500
2 Hg 0.0000 0.7624 0.7500
3 Hg 0.5000 0.2624 0.7500
4 Hg 0.5000 0.7376 0.2500
5 O 0.1341 0.1083 0.5924
6 O 0.1341 0.8917 0.0924
7 O 0.3659 0.3917 0.0924
8 O 0.3659 0.6083 0.5924
9 O 0.6341 0.3917 0.4076
10 O 0.6341 0.6083 0.9076
11 O 0.8659 0.1083 0.9076
12 O 0.8659 0.8917 0.4076
13 F 0.1349 0.3939 0.8944
14 F 0.1349 0.6061 0.3944
15 F 0.3651 0.1061 0.3944
16 F 0.3651 0.8939 0.8944
17 F 0.6349 0.1061 0.1056
18 F 0.6349 0.8939 0.6056
19 F 0.8651 0.3939 0.6056
20 F 0.8651 0.6061 0.1056

Computed properties:
- Energy: -2.586 eV/atom
- Formation energy: -0.240 eV/atom